No. 1
# NaCa9MgP7O28, optimized geometry, DFT PBE-GGA
data_NaCa9MgP7O28
_symmetry_space_group_name_H-M 'R 3 c'
_symmetry_Int_Tables_number 161
_symmetry_space_group_name_Hall 'R 3 -2"c'
_cell_length_a 10.4408
_cell_length_b 10.4408
_cell_length_c 37.4137
_cell_angle_alpha 90.00
_cell_angle_beta 90.00
_cell_angle_gamma 120.00
loop_
_atom_site_label
_atom_site_type_symbol
_atom_site_fract_x
_atom_site_fract_y
_atom_site_fract_z
_atom_site_occupancy
Na1 Na 0.0000 0.0000 0.0000 1
Ca1 Ca 0.0608 0.5242 0.4125 1
Ca2 Ca 0.0657 0.5211 0.3050 1
Ca3 Ca 0.1757 0.3835 0.0442 1
Mg1 Mg 0.0000 0.0000 0.3138 1
P1 P 0.0000 0.0000 0.0789 1
P2 P 0.0214 0.4920 0.6147 1
P3 P 0.1509 0.3443 0.8443 1
O1 O 0.0000 0.0000 0.1203 1
O2 O 0.0022 0.1418 0.0650 1
O3 O 0.0150 0.2425 0.4336 1
O4 O 0.0210 0.2903 0.1899 1
O5 O 0.0567 0.3880 0.5919 1
O6 O 0.0765 0.1743 0.8511 1
O7 O 0.0766 0.4899 0.6532 1
O8 O 0.1205 0.4215 0.3640 1
O9 O 0.1814 0.0869 0.2792 1
O10 O 0.1812 0.3797 0.8039 1
# Volume: 12.8 Å³/atom
# DFT formation energy: -3276.0 meV per atom



No. 2
# Hf2Ta2Si3S3O24, optimized geometry, DFT PBE-GGA
data_Hf2Ta2Si3S3O24
_symmetry_space_group_name_H-M 'P 1'
_symmetry_Int_Tables_number 1
_cell_length_a 8.930
_cell_length_b 8.940
_cell_length_c 23.027
_cell_angle_alpha 89.37
_cell_angle_beta 89.41
_cell_angle_gamma 60.11
loop_
_symmetry_equiv_pos_as_xyz
'x,y,z'
loop_
_atom_site_label
_atom_site_type_symbol
_atom_site_fract_x
_atom_site_fract_y
_atom_site_fract_z
_atom_site_occupancy
Hf1 Hf 0.000 0.000 0.000 1
Hf2 Hf 0.005 0.990 0.496 1
Hf3 Hf 0.333 0.336 0.333 1
Hf4 Hf 0.352 0.312 0.830 1
Hf5 Hf 0.656 0.670 0.660 1
Hf6 Hf 0.680 0.642 0.164 1
Ta1 Ta 0.018 0.978 0.212 1
Ta2 Ta 0.338 0.333 0.048 1
Ta3 Ta 0.358 0.308 0.544 1
Ta4 Ta 0.671 0.664 0.381 1
Ta5 Ta 0.672 0.655 0.876 1
Ta6 Ta 0.988 0.998 0.705 1
Si1 Si 0.005 0.272 0.104 1
Si2 Si 0.279 0.998 0.602 1
Si3 Si 0.288 0.709 0.103 1
Si4 Si 0.335 0.609 0.438 1
Si5 Si 0.622 0.321 0.937 1
Si6 Si 0.623 0.039 0.436 1
Si7 Si 0.675 0.938 0.769 1
Si8 Si 0.715 0.280 0.602 1
Si9 Si 0.953 0.655 0.270 1
S1 S 0.006 0.700 0.604 1
S2 S 0.047 0.325 0.437 1
S3 S 0.047 0.607 0.937 1
S4 S 0.338 0.033 0.937 1
S5 S 0.379 0.660 0.771 1
S6 S 0.384 0.940 0.271 1
S7 S 0.672 0.365 0.271 1
S8 S 0.714 0.991 0.105 1
S9 S 0.953 0.368 0.771 1
O1 O 0.021 0.779 0.946 1
O2 O 0.023 0.176 0.444 1
O3 O 0.030 0.149 0.161 1
O4 O 0.031 0.785 0.657 1
O5 O 0.119 0.359 0.489 1
O6 O 0.124 0.349 0.784 1
O7 O 0.125 0.495 0.990 1
O8 O 0.141 0.490 0.280 1
O9 O 0.151 0.526 0.885 1
O10 O 0.152 0.298 0.384 1
O11 O 0.159 0.529 0.598 1
O12 O 0.160 0.798 0.161 1
O13 O 0.162 0.015 0.662 1
O14 O 0.174 0.797 0.447 1
O15 O 0.178 0.287 0.089 1
O16 O 0.188 0.007 0.944 1
O17 O 0.193 0.816 0.046 1
O18 O 0.194 0.961 0.548 1
O19 O 0.205 0.957 0.263 1
O20 O 0.209 0.813 0.765 1
O21 O 0.291 0.173 0.593 1
O22 O 0.304 0.515 0.094 1
O23 O 0.306 0.520 0.381 1
O24 O 0.307 0.142 0.885 1
O25 O 0.355 0.114 0.279 1
O26 O 0.355 0.508 0.782 1
O27 O 0.361 0.483 0.494 1
O28 O 0.369 0.108 0.988 1
O29 O 0.459 0.829 0.323 1
O30 O 0.468 0.681 0.824 1
O31 O 0.469 0.834 0.614 1
O32 O 0.474 0.683 0.117 1
O33 O 0.484 0.862 0.219 1
O34 O 0.490 0.623 0.720 1
O35 O 0.494 0.349 0.993 1
O36 O 0.494 0.856 0.926 1
O37 O 0.496 0.125 0.494 1
O38 O 0.506 0.126 0.781 1
O39 O 0.511 0.620 0.422 1
O40 O 0.520 0.342 0.277 1
O41 O 0.524 0.295 0.596 1
O42 O 0.524 0.301 0.882 1
O43 O 0.526 0.149 0.379 1
O44 O 0.537 0.147 0.095 1
O45 O 0.637 0.846 0.427 1
O46 O 0.640 0.474 0.218 1
O47 O 0.640 0.495 0.923 1
O48 O 0.647 0.843 0.716 1
O49 O 0.685 0.844 0.113 1
O50 O 0.694 0.462 0.619 1
O51 O 0.695 0.815 0.828 1
O52 O 0.700 0.444 0.322 1
O53 O 0.789 0.025 0.156 1
O54 O 0.804 0.151 0.661 1
O55 O 0.809 0.155 0.947 1
O56 O 0.810 0.009 0.448 1
O57 O 0.818 0.962 0.052 1
O58 O 0.827 0.191 0.260 1
O59 O 0.827 0.681 0.327 1
O60 O 0.833 0.185 0.547 1
O61 O 0.839 0.452 0.825 1
O62 O 0.842 0.462 0.113 1
O63 O 0.848 0.955 0.761 1
O64 O 0.853 0.679 0.615 1
O65 O 0.856 0.637 0.214 1
O66 O 0.869 0.480 0.428 1
O67 O 0.871 0.622 0.928 1
O68 O 0.876 0.474 0.720 1
O69 O 0.967 0.833 0.259 1
O70 O 0.970 0.194 0.765 1
O71 O 0.971 0.809 0.553 1
O72 O 0.973 0.186 0.048 1
# Volume: 15.6 Å³/atom
# DFT formation energy: -2876.0 meV per atom



No. 3
# Dy12Co7, optimized geometry, DFT PBE-GGA
data_Dy12Co7
_symmetry_space_group_name_H-M 'P 1 21/c 1'
_symmetry_Int_Tables_number 14
_cell_length_a 8.279
_cell_length_b 11.215
_cell_length_c 11.012
_cell_angle_alpha 90.00
_cell_angle_beta 125.25
_cell_angle_gamma 90.00
loop_
_symmetry_equiv_pos_as_xyz
'x,y,z'
'-x,-y,-z'
'-x,y+1/2,-z+1/2'
'x,-y+1/2,z+1/2'
loop_
_atom_site_label
_atom_site_type_symbol
_atom_site_fract_x
_atom_site_fract_y
_atom_site_fract_z
_atom_site_occupancy
Dy1 Dy 0.002 0.159 0.343 1
Dy2 Dy 0.233 0.570 0.805 1
Dy3 Dy 0.250 0.200 0.176 1
Dy4 Dy 0.266 0.705 0.538 1
Dy5 Dy 0.270 0.072 0.914 1
Dy6 Dy 0.347 0.505 0.147 1
Co1 Co 0.000 0.000 0.000 1
Co2 Co 0.007 0.098 0.599 1
Co3 Co 0.403 0.691 0.343 1
Co4 Co 0.409 0.173 0.469 1
# Volume: 22.0 Å³/atom
# DFT formation energy: -176.8 meV per atom



Theoretical density per entry: 3.0; 4.0; 9.4 Mg/m³
E per entry: -1973.22; -817.08; -216.80 eV for the cell shown